# 1
# P4S9

A relaxed P4S9 crystal (r²SCAN, the Materials Project).

Cell: 8.826 12.780 13.032 Å, 90.00 90.00 104.79°
Fractional coordinates of all 52 atoms:
S 0.811 0.501 0.124
S 0.327 0.328 0.720
S 0.162 0.467 0.173
S 0.338 0.033 0.673
S 0.827 0.828 0.780
S 0.037 0.634 0.321
P 0.892 0.972 0.692
S 0.592 0.268 0.496
P 0.164 0.339 0.607
P 0.108 0.028 0.308
S 0.897 0.791 0.472
S 0.486 0.600 0.705
P 0.664 0.839 0.893
P 0.678 0.386 0.406
S 0.662 0.967 0.327
P 0.392 0.472 0.808
S 0.397 0.291 0.028
S 0.311 0.001 0.376
S 0.879 0.360 0.334
P 0.476 0.990 0.265
S 0.463 0.866 0.821
S 0.259 0.470 0.509
P 0.322 0.614 0.594
S 0.963 0.366 0.679
S 0.189 0.499 0.876
P 0.822 0.114 0.906
S 0.514 0.400 0.295
S 0.689 0.999 0.624
S 0.379 0.860 0.166
S 0.121 0.640 0.666
S 0.092 0.768 0.004
S 0.014 0.900 0.205
S 0.621 0.140 0.834
S 0.838 0.533 0.827
S 0.603 0.709 0.972
P 0.608 0.528 0.192
S 0.241 0.030 0.009
P 0.976 0.490 0.235
P 0.336 0.161 0.107
S 0.759 0.970 0.991
S 0.741 0.530 0.491
S 0.986 0.100 0.795
P 0.024 0.510 0.765
S 0.908 0.232 0.996
S 0.673 0.672 0.280
S 0.408 0.732 0.504
S 0.173 0.172 0.220
P 0.524 0.010 0.735
S 0.537 0.134 0.179
P 0.836 0.661 0.393
S 0.103 0.209 0.528
P 0.178 0.886 0.094

* mass density: 1.928 g/cm3
* DFT total energy: -8.55 eV/atom
* formation enthalpy at 0 K: -219 meV per atom
* SG: P2_1/c

***

# 2
# Np2InRh2

A relaxed Np2InRh2 crystal (r²SCAN, the Materials Project).

Cell: 7.611 7.611 3.651 Å, 90.00 90.00 90.00°
Fractional coordinates of all 10 atoms:
Rh 0.365 0.865 0.000
Np 0.169 0.669 0.500
In 0.000 0.000 0.000
Np 0.669 0.831 0.500
Np 0.331 0.169 0.500
Np 0.831 0.331 0.500
In 0.500 0.500 0.000
Rh 0.865 0.635 0.000
Rh 0.135 0.365 0.000
Rh 0.635 0.135 0.000

* mass density: 12.481 g/cm3
* DFT total energy: -48.04 eV/atom
* formation enthalpy at 0 K: -655 meV per atom
* SG: P4/mbm

***

# 3
# La5Ge3

A relaxed La5Ge3 crystal (r²SCAN, the Materials Project).

Cell: 6.963 9.016 9.016 Å, 120.00 90.00 90.00°
Fractional coordinates of all 16 atoms:
La 0.500 0.333 0.667
La 0.000 0.667 0.333
La 0.250 0.249 0.249
La 0.250 0.000 0.751
La 0.500 0.667 0.333
Ge 0.750 0.608 0.000
La 0.750 0.249 0.000
La 0.250 0.751 0.000
Ge 0.250 0.608 0.608
La 0.750 0.751 0.751
Ge 0.750 0.392 0.392
La 0.750 0.000 0.249
Ge 0.750 0.000 0.608
Ge 0.250 0.392 0.000
Ge 0.250 0.000 0.392
La 0.000 0.333 0.667

* mass density: 6.181 g/cm3
* DFT total energy: -24.61 eV/atom
* formation enthalpy at 0 K: -821 meV per atom
* SG: P6_3/mcm

***

# 4
# Sc7CoBr12

A relaxed Sc7CoBr12 crystal (r²SCAN, the Materials Project).

Cell: 8.653 8.653 8.653 Å, 106.96 106.96 106.96°
Fractional coordinates of all 20 atoms:
Co 0.000 0.000 0.000
Br 0.929 0.321 0.777
Sc 0.023 0.299 0.095
Br 0.613 0.539 0.836
Br 0.164 0.387 0.461
Br 0.071 0.679 0.223
Br 0.777 0.929 0.321
Br 0.461 0.164 0.387
Br 0.836 0.613 0.539
Br 0.679 0.223 0.071
Sc 0.500 0.500 0.500
Br 0.539 0.836 0.613
Sc 0.905 0.977 0.701
Sc 0.095 0.023 0.299
Sc 0.701 0.905 0.977
Br 0.223 0.071 0.679
Br 0.387 0.461 0.164
Sc 0.299 0.095 0.023
Br 0.321 0.777 0.929
Sc 0.977 0.701 0.905

* mass density: 4.096 g/cm3
* DFT total energy: -14.29 eV/atom
* formation enthalpy at 0 K: -1686 meV per atom
* SG: R-3

***

# 5
# Mg3B2Rh5

A relaxed Mg3B2Rh5 crystal (r²SCAN, the Materials Project).

Cell: 9.422 9.422 2.936 Å, 90.00 90.00 90.00°
Fractional coordinates of all 20 atoms:
Mg 0.823 0.677 0.000
Rh 0.500 0.000 0.500
B 0.374 0.126 0.000
Rh 0.721 0.429 0.500
B 0.126 0.626 0.000
Rh 0.429 0.279 0.500
Mg 0.677 0.177 0.000
Rh 0.221 0.071 0.500
Rh 0.279 0.571 0.500
Mg 0.177 0.323 0.000
Rh 0.571 0.721 0.500
Rh 0.000 0.500 0.500
Rh 0.929 0.221 0.500
Rh 0.779 0.929 0.500
Rh 0.071 0.779 0.500
B 0.874 0.374 0.000
Mg 0.500 0.500 0.000
Mg 0.000 0.000 0.000
B 0.626 0.874 0.000
Mg 0.323 0.823 0.000

* mass density: 7.761 g/cm3
* DFT total energy: -15.39 eV/atom
* formation enthalpy at 0 K: -598 meV per atom
* SG: P4/mbm

***

# 6
# Cs2GdCl5

A relaxed Cs2GdCl5 crystal (r²SCAN, the Materials Project).

Cell: 7.546 9.630 15.362 Å, 90.00 90.00 90.00°
Fractional coordinates of all 32 atoms:
Cl 0.508 0.838 0.619
Cl 0.992 0.838 0.619
Cl 0.750 0.983 0.203
Cl 0.492 0.162 0.381
Gd 0.750 0.319 0.434
Cs 0.250 0.665 0.916
Gd 0.750 0.819 0.066
Cl 0.000 0.500 0.500
Cs 0.750 0.525 0.711
Cl 0.500 0.500 0.500
Cl 0.250 0.017 0.797
Cs 0.750 0.335 0.084
Cl 0.992 0.338 0.881
Cl 0.250 0.290 0.094
Cl 0.008 0.662 0.119
Cl 0.750 0.710 0.906
Gd 0.250 0.681 0.566
Cs 0.250 0.165 0.584
Cl 0.250 0.790 0.406
Gd 0.250 0.181 0.934
Cl 0.250 0.517 0.703
Cs 0.250 0.475 0.289
Cl 0.000 0.000 0.000
Cl 0.508 0.338 0.881
Cs 0.750 0.835 0.416
Cl 0.750 0.483 0.297
Cl 0.492 0.662 0.119
Cl 0.500 0.000 0.000
Cl 0.750 0.210 0.594
Cs 0.250 0.975 0.211
Cs 0.750 0.025 0.789
Cl 0.008 0.162 0.381

* mass density: 3.572 g/cm3
* DFT total energy: -17.97 eV/atom
* formation enthalpy at 0 K: -2425 meV per atom
* SG: Pnma